# 1
12
Lattice="-4.992 0.000 0.000 1.719 4.764 0.000 -0.046 -1.374 -6.715" Properties=species:S:1:pos:R:3 comment="CrN2 PBE-GGA optimized geometry" crystal_system=triclinic piezo_max_c_m2=4.369 sg=P1 pbc="T T T"
N -2.723 3.000 -5.481
Cr -3.201 1.726 -1.260
N -0.864 0.256 -4.497
N -3.693 3.051 -2.128
N 0.195 1.048 -0.659
Cr 0.137 4.099 -3.187
N -2.534 0.496 -2.294
Cr -1.415 2.051 -5.398
N -0.839 2.913 -3.767
N -0.292 2.769 -6.493
Cr -0.907 -0.689 -6.145
N -2.194 0.728 -6.597

---

# 2
10
Lattice="-7.184 0.293 2.240 -4.913 4.372 -3.669 -5.393 -3.123 -4.228" Properties=species:S:1:pos:R:3 comment="Sr6In2NF PBE-GGA optimized geometry" crystal_system=cubic sg=Fm-3m pbc="T T T"
Sr -7.935 0.523 -0.197
Sr -9.555 1.019 -5.459
In -13.117 1.156 -4.242
F -8.745 0.771 -2.828
Sr -10.734 -1.099 -2.392
Sr -7.005 -1.251 -3.555
N 0.000 0.000 0.000
Sr -10.485 2.792 -2.102
Sr -6.756 2.640 -3.265
In -4.372 0.385 -1.414

---

# 3
48
Lattice="6.768 0.000 0.000 0.000 13.102 0.000 0.000 0.000 22.230" Properties=species:S:1:pos:R:3 comment="GaAuI8N2 PBE-GGA optimized geometry" crystal_system=orthorhombic sg=Pnma pbc="T T T"
I 5.117 4.988 9.814
I 1.733 1.564 20.929
Au 3.384 6.551 0.000
I 6.728 10.754 14.518
I 5.034 11.539 1.301
N 3.445 1.741 2.284
I 3.423 4.203 14.518
I 5.034 11.539 9.814
I 1.618 11.569 1.457
Au 3.384 6.551 11.115
I 2.940 12.560 5.557
N 6.706 8.292 2.284
I 0.444 6.008 5.557
Ga 3.992 10.208 5.557
I 3.593 3.925 5.557
Au 0.000 0.000 0.000
N 3.323 11.361 19.946
I 3.423 4.203 18.827
I 1.650 8.115 20.929
I 6.728 10.754 18.827
I 1.733 1.564 12.416
I 1.650 8.115 12.416
I 0.039 2.349 3.403
I 1.766 5.017 9.658
I 5.002 8.085 12.572
I 5.117 4.988 1.301
I 6.559 10.476 5.557
Au 0.000 0.000 11.115
I 5.149 1.534 12.572
Ga 6.159 3.656 5.557
I 5.149 1.534 20.773
N 3.323 11.361 13.399
I 3.175 9.177 16.672
N 3.445 1.741 8.831
N 6.706 8.292 8.831
N 0.061 4.810 19.946
Ga 0.609 9.446 16.672
I 6.323 7.094 16.672
I 3.344 8.900 7.712
I 1.766 5.017 1.457
I 0.209 2.626 16.672
I 0.039 2.349 7.712
Ga 2.775 2.895 16.672
I 5.002 8.085 20.773
I 1.618 11.569 9.658
I 3.828 0.543 16.672
N 0.061 4.810 13.399
I 3.344 8.900 3.403

---

# 4
40
Lattice="-0.720 3.428 4.031 3.760 -4.966 4.895 10.563 5.362 -2.674" Properties=species:S:1:pos:R:3 comment="Zn2BiPO6 PBE-GGA optimized geometry" crystal_system=orthorhombic sg=Pnma pbc="T T T"
Zn 4.740 2.015 0.902
Bi 0.915 1.306 0.821
Zn 12.047 2.246 2.010
O 3.500 0.716 1.785
O 11.139 4.473 -1.804
Zn 3.167 -0.324 6.148
O 2.465 -0.649 8.056
P 6.308 -0.656 6.991
O 10.103 3.108 4.467
Zn 6.468 4.748 2.423
Bi 12.688 2.518 5.431
O 6.081 2.727 2.292
P 9.897 4.261 3.450
O 5.140 0.007 6.218
O 6.290 5.023 0.341
O 7.523 1.097 3.960
O 6.963 0.469 7.872
Bi 7.960 1.658 1.780
Zn 7.136 -0.924 3.829
P 3.706 -0.436 2.802
O 3.194 -1.749 2.106
O 5.184 -0.593 3.199
Zn 10.437 4.149 0.104
O 2.822 -2.352 6.054
O 8.464 3.817 0.034
O 2.062 3.157 2.989
Zn 1.557 1.578 4.242
O 11.541 0.667 3.263
O 10.760 3.906 2.185
O 6.640 3.355 -1.620
O 2.843 -0.082 4.067
O 7.165 2.800 5.962
O 10.781 6.176 0.198
O 6.438 1.024 0.290
P 7.295 4.480 -0.739
O 8.420 4.417 3.054
O 7.313 -1.199 5.911
O 10.410 5.574 4.146
Zn 8.863 1.809 5.350
Bi 5.644 2.166 4.472

---

# 5
14
Lattice="-3.938 1.570 4.357 -1.670 -3.856 -4.393 3.312 -8.222 5.957" Properties=species:S:1:pos:R:3 comment="SrGa2S4 PBE-GGA optimized geometry" crystal_system=orthorhombic sg=Cccm pbc="T T T"
S -0.033 -4.258 3.714
Ga -2.216 -2.565 -2.308
Ga -0.549 -6.671 0.670
S 0.280 -4.695 -0.192
S -4.306 -1.214 0.719
S -2.264 -6.249 2.206
S -1.302 -1.072 -0.755
S 0.801 -6.093 7.161
Sr -0.320 -7.309 4.449
Ga -1.747 -3.836 5.250
S -1.428 -0.559 3.152
Ga -3.392 0.279 2.272
Sr -1.976 -3.198 1.471
S 1.362 -7.382 1.755

---

# 6
10
Lattice="-3.488 -7.235 -1.374 -3.047 -5.747 -4.908 5.998 -8.040 -2.639" Properties=species:S:1:pos:R:3 comment="Y2Cl3 PBE-GGA optimized geometry" crystal_system=monoclinic sg=C2/m pbc="T T T"
Cl -1.366 -12.559 -5.460
Cl 0.829 -8.463 -3.461
Cl -4.366 -11.021 -5.186
Y 3.357 -7.494 -2.738
Y 2.996 -13.041 -5.119
Y -3.894 -13.529 -6.184
Y -3.532 -7.981 -3.802
Cl 1.288 -2.659 -0.959
Cl 3.829 -10.002 -3.735
Cl -1.825 -18.364 -7.962

---

# 7
10
Lattice="-2.437 -0.283 2.384 2.946 -3.276 2.574 5.879 11.162 7.340" Properties=species:S:1:pos:R:3 comment="Mg PBE-GGA optimized geometry" crystal_system=triclinic sg=P-1 pbc="T T T"
Mg 2.334 -0.008 2.454
Mg 3.654 9.106 7.366
Mg -0.245 1.698 2.497
Mg 2.242 2.161 5.072
Mg 4.822 0.455 5.028
Mg 5.894 11.088 7.438
Mg 6.802 4.208 7.500
Mg 4.561 2.227 7.428
Mg 4.003 5.500 7.270
Mg 6.453 7.816 7.596

---

# 8
29
Lattice="0.000 6.188 6.188 6.188 0.000 6.188 6.188 6.188 0.000" Properties=species:S:1:pos:R:3 comment="Zr6Al16Rh7 PBE-GGA optimized geometry" crystal_system=cubic sg=Fm-3m pbc="T T T"
Al 1.483 1.483 1.483
Al 4.705 4.705 1.483
Zr 6.188 6.188 3.838
Al 10.893 7.672 7.672
Rh 0.000 3.094 3.094
Al 4.172 8.205 8.205
Al 4.172 4.172 8.205
Rh 0.000 0.000 0.000
Al 8.205 8.205 8.205
Zr 6.188 8.538 6.188
Zr 3.838 6.188 6.188
Rh 6.188 3.094 3.094
Al 7.672 10.893 7.672
Rh 3.094 3.094 6.188
Al 4.172 4.172 4.172
Rh 3.094 0.000 3.094
Al 8.205 4.172 8.205
Zr 6.188 3.838 6.188
Al 4.172 8.205 4.172
Al 8.205 8.205 4.172
Al 4.705 1.483 4.705
Al 8.205 4.172 4.172
Zr 8.538 6.188 6.188
Rh 3.094 6.188 3.094
Rh 3.094 3.094 0.000
Zr 6.188 6.188 8.538
Al 7.672 7.672 10.893
Al 10.893 10.893 10.893
Al 1.483 4.705 4.705

---

# 9
24
Lattice="3.963 -6.864 0.000 3.963 6.864 0.000 0.000 0.000 8.256" Properties=species:S:1:pos:R:3 comment="Mg3Ir PBE-GGA optimized geometry" crystal_system=hexagonal sg=P6_3cm pbc="T T T"
Ir 5.323 0.000 1.994
Mg 2.267 0.000 0.589
Mg 2.492 4.316 3.402
Ir 1.301 2.254 1.994
Mg 1.471 2.548 7.530
Mg 2.829 4.900 0.589
Mg 5.658 0.000 4.717
Mg 0.000 0.000 2.521
Mg 3.963 -2.288 1.621
Mg 4.984 0.000 7.530
Mg 2.492 -4.316 3.402
Ir 1.301 -2.254 1.994
Ir 2.603 0.000 6.122
Mg 0.000 0.000 6.648
Mg 2.942 0.000 3.402
Ir 2.662 -4.610 6.122
Mg 1.134 1.964 4.717
Mg 1.471 -2.548 7.530
Mg 2.829 -4.900 0.589
Mg 1.134 -1.964 4.717
Mg 3.963 2.288 1.621
Mg 3.963 2.288 5.749
Ir 2.662 4.610 6.122
Mg 3.963 -2.288 5.749

---

# 10
40
Lattice="6.809 0.000 0.000 -0.555 9.575 0.000 -0.526 -4.046 11.334" Properties=species:S:1:pos:R:3 comment="USe2O7 PBE-GGA optimized geometry" crystal_system=triclinic sg=P-1 pbc="T T T"
O 4.158 3.121 10.848
Se 6.117 -1.021 3.910
O 3.601 1.603 2.163
Se 1.865 -0.276 7.416
O 3.212 -1.129 8.078
Se 5.650 3.731 9.959
O -0.618 2.347 9.161
O 0.673 5.695 0.990
O 2.516 6.658 3.256
O 1.952 8.646 0.984
O 2.839 5.664 6.847
Se -0.389 6.549 7.424
O 0.809 0.886 2.637
O 1.570 2.408 0.486
O 0.683 6.358 8.725
O 2.334 3.894 2.668
O 0.081 7.704 3.194
O 2.889 -0.135 4.487
U 5.312 0.240 8.604
U 2.727 -0.504 2.723
O 3.776 -3.117 10.350
O 4.730 7.177 4.811
U 0.416 5.289 2.730
O 4.919 4.643 8.697
O 5.535 0.584 6.845
O 3.394 1.635 8.666
U 3.001 6.032 8.611
O 0.825 -0.096 8.748
Se 3.063 3.002 1.390
O 0.998 -1.648 6.523
O 5.646 -2.176 8.140
O 5.045 -0.829 2.609
Se 2.665 2.527 9.944
O 6.346 3.182 2.173
O 2.127 3.926 9.171
O 0.193 4.945 4.489
O 5.055 -0.166 10.343
Se 0.078 1.798 1.375
O 4.903 5.625 2.586
Se 3.863 5.804 3.918

---

# 11
82
Lattice="12.855 0.000 0.000 0.000 12.855 0.000 0.000 0.000 7.156" Properties=species:S:1:pos:R:3 comment="Tb2Nb2S7O30 PBE-GGA optimized geometry" crystal_system=tetragonal sg=P-42_1m pbc="T T T"
O 8.116 9.135 3.904
S 4.160 7.254 2.141
O 6.991 3.734 4.821
O 2.266 4.161 5.299
O 12.002 5.574 1.606
S 6.428 0.000 4.679
O 3.734 5.864 2.335
O 7.281 12.002 5.550
O 2.597 9.024 5.660
Tb 2.555 3.872 2.916
O 3.470 7.782 0.864
S 11.266 8.017 6.400
Nb 4.642 1.785 0.136
O 2.012 4.415 0.566
O 7.254 5.466 1.927
O 9.385 5.073 0.864
O 5.466 5.602 5.228
S 7.254 8.696 5.015
O 2.957 1.354 6.291
Tb 10.300 8.983 2.916
Tb 8.983 2.555 4.240
Nb 11.070 4.642 7.020
O 11.894 0.826 1.927
O 4.161 10.589 1.857
O 12.029 11.894 5.228
O 5.073 3.470 6.291
O 11.501 2.957 0.864
S 8.696 5.602 2.141
O 5.602 7.389 1.927
S 8.017 1.590 0.756
O 12.292 10.162 2.335
S 0.826 10.587 2.141
S 1.590 4.838 6.400
O 11.028 6.538 6.229
O 9.121 6.991 2.335
S 10.587 12.029 5.015
O 11.987 7.296 3.292
O 2.707 1.688 3.904
O 6.538 1.827 0.927
O 5.574 0.854 5.550
O 7.296 0.868 3.864
S 2.268 0.826 5.015
O 0.868 5.560 3.292
O 0.826 0.961 5.228
S 4.838 11.266 0.756
O 0.961 12.029 1.927
O 0.110 4.600 6.229
S 0.000 6.428 2.477
Nb 8.213 11.070 0.136
O 3.831 2.597 1.496
O 12.745 8.255 6.229
O 1.354 9.898 0.864
O 4.740 3.721 3.904
O 8.440 2.012 6.590
O 1.688 10.148 3.251
O 0.564 2.693 2.335
O 11.167 2.707 3.251
Tb 3.872 10.300 4.240
Nb 1.785 8.213 7.020
O 6.318 11.028 0.927
S 5.602 4.160 5.015
O 1.827 6.318 6.229
O 10.259 3.831 5.660
O 10.162 0.564 4.821
O 9.024 10.259 1.496
O 5.864 9.121 4.821
O 9.135 4.740 3.251
O 4.415 10.843 6.590
O 7.782 9.385 6.291
S 12.029 2.268 2.141
O 0.854 7.281 1.606
O 8.694 2.266 1.857
O 9.898 11.501 6.291
O 3.721 8.116 3.251
O 8.255 0.110 0.927
O 10.148 11.167 3.904
O 4.600 12.745 0.927
O 5.560 11.987 3.864
O 7.389 7.254 5.228
O 10.843 8.440 0.566
O 2.693 12.292 4.821
O 10.589 8.694 5.299

---

# 12
18
Lattice="-6.678 -1.656 -4.678 0.698 -3.345 7.586 -2.661 4.472 2.217" Properties=species:S:1:pos:R:3 comment="Ti5Sn3Au PBE-GGA optimized geometry" crystal_system=hexagonal sg=P6_3/mcm pbc="T T T"
Ti -2.350 -0.291 1.374
Ti -5.462 -0.071 -2.805
Ti -3.091 -0.546 4.606
Sn -3.216 0.486 -1.233
Ti -6.291 -0.237 3.751
Sn -4.361 -1.972 2.352
Ti -1.760 -2.782 3.498
Sn -1.564 1.287 6.351
Ti -3.878 2.887 0.345
Au 0.000 0.000 0.000
Sn -0.398 -0.160 3.452
Sn -4.280 1.444 2.774
Ti -0.164 -1.284 6.003
Ti -5.550 0.017 0.519
Ti -1.799 2.411 3.800
Sn -6.123 2.331 -1.228
Ti -4.219 -2.219 -0.590
Au -1.331 2.236 1.108

---

| no. | density (g/cm³) | energy relative to the elements (eV per atom) |
| --- | --- | --- |
| 1 | 3.33 | 0.021 |
| 2 | 4.33 | -0.999 |
| 3 | 4.41 | 0.826 |
| 4 | 6.03 | -2.131 |
| 5 | 3.46 | -1.446 |
| 6 | 3.43 | -2.218 |
| 7 | 1.58 | 0.177 |
| 8 | 5.95 | -0.828 |
| 9 | 5.88 | -0.344 |
| 10 | 4.57 | -2.165 |
| 11 | 3.39 | -2.267 |
| 12 | 7.76 | -0.369 |